# 1
A plane-wave DFT calculation with PBE-GGA was carried out for a relaxed structure of CsPa3.

Energy of formation = 1.137 eV per atom
Total energy = -0.4574 Ry/atom
Crystal system = cubic

```
CsPa3
1.0
4.756 0.000 0.000
0.000 4.756 0.000
0.000 0.000 4.756
Cs Pa
1 3
Direct
0.000 0.000 0.000 Cs
0.000 0.500 0.500 Pa
0.500 0.000 0.500 Pa
0.500 0.500 0.000 Pa
```

# 2
A plane-wave DFT calculation with PBE-GGA was carried out for a relaxed structure of CeSi5.

Energy of formation = -0.188 eV per atom
Total energy = -0.4232 Ry/atom
Crystal system = orthorhombic

```
CeSi5
1.0
2.661 -5.026 -1.368
-3.658 -4.186 1.820
0.447 4.437 -3.785
Ce Si
1 5
Direct
0.000 0.000 0.000 Ce
0.473 0.671 0.802 Si
0.527 0.329 0.198 Si
0.131 0.329 0.802 Si
0.869 0.671 0.198 Si
0.500 0.000 0.500 Si
```

# 3
A plane-wave DFT calculation with PBE-GGA was carried out for a relaxed structure of CdHg4Se5.

Energy of formation = -0.515 eV per atom
Total energy = -0.1647 Ry/atom
Crystal system = tetragonal
Energy above the most stable polymorph in this dataset = 0.000 eV/atom

```
CdHg4Se5
1.0
-2.215 2.215 15.649
2.215 -2.215 15.649
2.215 2.215 -15.649
Cd Hg Se
1 4 5
Direct
0.500 0.500 0.000 Cd
0.900 0.900 0.000 Hg
0.300 0.300 0.000 Hg
0.700 0.700 0.000 Hg
0.100 0.100 0.000 Hg
0.250 0.750 0.500 Se
0.650 0.150 0.500 Se
0.049 0.549 0.500 Se
0.451 0.951 0.500 Se
0.850 0.350 0.500 Se
```

# 4
A plane-wave DFT calculation with PBE-GGA was carried out for a relaxed structure of Dy2TeO2.

Energy of formation = -3.248 eV per atom
Total energy = -0.5456 Ry/atom
Crystal system = tetragonal

```
Dy2TeO2
1.0
-1.967 1.967 6.262
1.967 -1.967 6.262
1.967 1.967 -6.262
Dy Te O
2 1 2
Direct
0.663 0.663 0.000 Dy
0.337 0.337 0.000 Dy
0.000 0.000 0.000 Te
0.750 0.250 0.500 O
0.250 0.750 0.500 O
```

# 5
A plane-wave DFT calculation with PBE-GGA was carried out for a relaxed structure of Nd6Ge3S14.

Energy of formation = -1.773 eV per atom
Total energy = -0.4286 Ry/atom
Crystal system = trigonal

```
Nd6Ge3S14
1.0
5.137 -8.898 0.000
5.137 8.898 0.000
0.000 0.000 5.799
Nd Ge S
6 3 14
Direct
0.565 0.025 0.245 Nd
0.975 0.540 0.245 Nd
0.460 0.435 0.245 Nd
0.102 0.308 0.751 Nd
0.692 0.794 0.751 Nd
0.206 0.898 0.751 Nd
0.667 0.333 0.828 Ge
0.000 0.000 0.332 Ge
0.333 0.667 0.485 Ge
0.439 0.185 0.985 S
0.815 0.254 0.985 S
0.746 0.561 0.985 S
0.228 0.148 0.488 S
0.852 0.080 0.488 S
0.920 0.772 0.488 S
0.667 0.333 0.449 S
0.000 0.000 0.952 S
0.497 0.922 0.726 S
0.078 0.575 0.726 S
0.425 0.503 0.726 S
0.167 0.411 0.237 S
0.589 0.756 0.237 S
0.244 0.833 0.237 S
```

# 6
A plane-wave DFT calculation with PBE-GGA was carried out for a relaxed structure of HoTlPd.

Energy of formation = -0.656 eV per atom
Total energy = -0.3453 Ry/atom
Crystal system = hexagonal

```
HoTlPd
1.0
0.000 0.000 -3.767
-3.935 -6.815 0.000
-3.935 6.815 0.000
Ho Tl Pd
3 3 3
Direct
0.500 0.000 0.401 Ho
0.500 0.599 0.599 Ho
0.500 0.401 0.000 Ho
0.000 0.000 0.732 Tl
0.000 0.268 0.268 Tl
0.000 0.732 0.000 Tl
0.000 0.333 0.667 Pd
0.000 0.667 0.333 Pd
0.500 0.000 0.000 Pd
```

# 7
A plane-wave DFT calculation with PBE-GGA was carried out for a relaxed structure of DyMn6Ge6.

Energy of formation = -0.320 eV per atom
Total energy = -0.5172 Ry/atom
Crystal system = hexagonal

```
DyMn6Ge6
1.0
2.589 -4.484 0.000
2.589 4.484 0.000
0.000 0.000 8.143
Dy Mn Ge
1 6 6
Direct
0.000 0.000 0.000 Dy
0.000 0.500 0.749 Mn
0.500 0.000 0.251 Mn
0.500 0.500 0.251 Mn
0.000 0.500 0.251 Mn
0.500 0.000 0.749 Mn
0.500 0.500 0.749 Mn
0.000 0.000 0.656 Ge
0.333 0.667 0.000 Ge
0.667 0.333 0.000 Ge
0.333 0.667 0.500 Ge
0.667 0.333 0.500 Ge
0.000 0.000 0.344 Ge
```

# 8
A plane-wave DFT calculation with PBE-GGA was carried out for a relaxed structure of Bi3Te2S.

Energy of formation = -0.272 eV per atom
Total energy = -0.2845 Ry/atom
Crystal system = trigonal

```
Bi3Te2S
1.0
-1.452 3.569 2.079
0.830 0.155 -4.296
-23.186 -6.684 -4.721
Bi Te S
6 4 2
Direct
0.000 0.000 0.883 Bi
0.000 0.000 0.117 Bi
0.667 0.333 0.713 Bi
0.333 0.667 0.287 Bi
0.333 0.667 0.535 Bi
0.667 0.333 0.465 Bi
0.333 0.667 0.797 Te
0.667 0.333 0.203 Te
0.000 0.000 0.639 Te
0.000 0.000 0.361 Te
0.667 0.333 0.933 S
0.333 0.667 0.067 S
```

# 9
A plane-wave DFT calculation with PBE-GGA was carried out for a relaxed structure of CeAlPd2.

Energy of formation = -0.829 eV per atom
Total energy = -0.4291 Ry/atom
Crystal system = orthorhombic

```
CeAlPd2
1.0
-4.741 -1.018 -3.428
-1.234 -5.980 3.482
-4.361 3.762 4.915
Ce Al Pd
4 4 8
Direct
0.341 0.750 0.033 Ce
0.159 0.750 0.533 Ce
0.659 0.250 0.967 Ce
0.841 0.250 0.467 Ce
0.657 0.750 0.383 Al
0.843 0.750 0.883 Al
0.343 0.250 0.617 Al
0.157 0.250 0.117 Al
0.915 0.550 0.179 Pd
0.585 0.950 0.679 Pd
0.085 0.050 0.821 Pd
0.415 0.450 0.321 Pd
0.085 0.450 0.821 Pd
0.415 0.050 0.321 Pd
0.915 0.950 0.179 Pd
0.585 0.550 0.679 Pd
```

# 10
A plane-wave DFT calculation with PBE-GGA was carried out for a relaxed structure of NbBr3O.

Energy of formation = -1.495 eV per atom
Total energy = -0.3932 Ry/atom
Crystal system = tetragonal
Largest piezoelectric modulus = 0.01 C/m²

```
NbBr3O
1.0
11.933 0.000 0.000
0.000 11.933 0.000
0.000 0.000 4.001
Nb Br O
4 12 4
Direct
0.126 0.374 0.196 Nb
0.874 0.626 0.196 Nb
0.374 0.874 0.804 Nb
0.626 0.126 0.804 Nb
0.601 0.899 0.745 Br
0.899 0.399 0.255 Br
0.399 0.101 0.745 Br
0.831 0.105 0.745 Br
0.101 0.601 0.255 Br
0.895 0.831 0.255 Br
0.169 0.895 0.745 Br
0.395 0.669 0.745 Br
0.669 0.605 0.255 Br
0.105 0.169 0.255 Br
0.331 0.395 0.255 Br
0.605 0.331 0.745 Br
0.880 0.620 0.747 O
0.620 0.120 0.253 O
0.120 0.380 0.747 O
0.380 0.880 0.253 O
```

# 11
A plane-wave DFT calculation with PBE-GGA was carried out for a relaxed structure of Cu3Bi7Pb3S15.

Energy of formation = -0.618 eV per atom
Total energy = -0.3215 Ry/atom
Crystal system = orthorhombic

```
Cu3Bi7Pb3S15
1.0
-1.777 2.617 2.518
-7.401 3.281 -8.634
-36.013 -39.666 15.798
Cu Bi Pb S
12 28 12 60
Direct
0.250 0.228 0.941 Cu
0.750 0.272 0.441 Cu
0.750 0.269 0.242 Cu
0.250 0.731 0.758 Cu
0.250 0.733 0.958 Cu
0.750 0.767 0.458 Cu
0.250 0.231 0.742 Cu
0.250 0.233 0.542 Cu
0.750 0.267 0.042 Cu
0.750 0.772 0.059 Cu
0.750 0.769 0.258 Cu
0.250 0.728 0.559 Cu
0.750 0.152 0.892 Bi
0.750 0.984 0.365 Bi
0.750 0.479 0.936 Bi
0.250 0.016 0.635 Bi
0.250 0.519 0.666 Bi
0.750 0.652 0.608 Bi
0.250 0.348 0.193 Bi
0.750 0.979 0.564 Bi
0.250 0.019 0.834 Bi
0.250 0.517 0.263 Bi
0.750 0.981 0.166 Bi
0.250 0.013 0.038 Bi
0.750 0.481 0.334 Bi
0.250 0.017 0.237 Bi
0.750 0.484 0.135 Bi
0.750 0.652 0.807 Bi
0.750 0.983 0.763 Bi
0.250 0.848 0.307 Bi
0.750 0.487 0.538 Bi
0.250 0.513 0.462 Bi
0.250 0.848 0.108 Bi
0.250 0.516 0.865 Bi
0.750 0.152 0.693 Bi
0.250 0.021 0.436 Bi
0.750 0.987 0.962 Bi
0.250 0.521 0.064 Bi
0.250 0.348 0.392 Bi
0.750 0.483 0.737 Bi
0.750 0.174 0.299 Pb
0.250 0.326 0.600 Pb
0.750 0.674 0.201 Pb
0.750 0.669 0.002 Pb
0.750 0.169 0.498 Pb
0.250 0.826 0.900 Pb
0.250 0.326 0.799 Pb
0.250 0.826 0.701 Pb
0.250 0.831 0.502 Pb
0.250 0.331 0.998 Pb
0.750 0.174 0.100 Pb
0.750 0.674 0.400 Pb
0.750 0.451 0.226 S
0.250 0.216 0.260 S
0.250 0.709 0.839 S
0.750 0.620 0.690 S
0.750 0.454 0.029 S
0.250 0.049 0.726 S
0.250 0.047 0.925 S
0.250 0.880 0.190 S
0.750 0.127 0.411 S
0.750 0.953 0.075 S
0.250 0.713 0.440 S
0.750 0.123 0.212 S
0.750 0.118 0.610 S
0.750 0.287 0.560 S
0.750 0.787 0.940 S
0.250 0.210 0.861 S
0.750 0.291 0.161 S
0.250 0.546 0.172 S
0.250 0.209 0.661 S
0.250 0.722 0.040 S
0.750 0.453 0.425 S
0.250 0.046 0.328 S
0.250 0.380 0.310 S
0.750 0.454 0.828 S
0.750 0.623 0.288 S
0.750 0.290 0.361 S
0.750 0.951 0.274 S
0.250 0.873 0.589 S
0.750 0.954 0.672 S
0.250 0.877 0.788 S
0.250 0.883 0.988 S
0.750 0.117 0.012 S
0.250 0.047 0.129 S
0.250 0.549 0.774 S
0.750 0.791 0.339 S
0.750 0.278 0.960 S
0.250 0.222 0.460 S
0.750 0.618 0.890 S
0.250 0.213 0.060 S
0.250 0.383 0.512 S
0.250 0.382 0.110 S
0.250 0.377 0.712 S
0.750 0.954 0.471 S
0.750 0.778 0.540 S
0.250 0.373 0.911 S
0.750 0.790 0.139 S
0.250 0.546 0.971 S
0.250 0.547 0.371 S
0.250 0.882 0.390 S
0.750 0.120 0.810 S
0.750 0.784 0.740 S
0.250 0.716 0.240 S
0.250 0.710 0.639 S
0.250 0.547 0.575 S
0.750 0.953 0.871 S
0.750 0.453 0.629 S
0.750 0.284 0.760 S
0.750 0.617 0.488 S
0.750 0.627 0.089 S
0.250 0.046 0.529 S
```

# 12
A plane-wave DFT calculation with PBE-GGA was carried out for a relaxed structure of Ba2Al4Si6H14O27.

Energy of formation = -1.888 eV per atom
Total energy = -0.4354 Ry/atom
Crystal system = triclinic

```
Ba2Al4Si6H14O27
1.0
8.300 0.000 0.000
-0.280 8.364 0.000
-1.291 -0.134 8.680
Ba Al Si H O
2 4 6 14 27
Direct
0.543 0.040 0.014 Ba
0.023 0.491 0.037 Ba
0.505 0.719 0.326 Al
0.532 0.357 0.317 Al
0.980 0.849 0.674 Al
0.977 0.191 0.728 Al
0.053 0.952 0.044 Si
0.751 0.904 0.382 Si
0.294 0.025 0.303 Si
0.098 0.477 0.649 Si
0.659 0.402 0.671 Si
0.557 0.459 0.994 Si
0.762 0.564 0.321 H
0.279 0.508 0.370 H
0.906 0.114 0.338 H
0.026 0.788 0.245 H
0.216 0.965 0.992 H
0.563 0.740 0.037 H
0.946 0.090 0.978 H
0.976 0.849 0.891 H
0.389 0.498 0.016 H
0.705 0.552 0.966 H
0.396 0.344 0.767 H
0.639 0.685 0.733 H
0.229 0.040 0.705 H
0.716 0.002 0.660 H
0.661 0.828 0.211 O
0.412 0.172 0.266 O
0.644 0.551 0.316 O
0.369 0.521 0.309 O
0.341 0.849 0.250 O
0.107 0.059 0.219 O
0.000 0.782 0.133 O
0.973 0.517 0.333 O
0.613 0.325 0.121 O
0.589 0.312 0.515 O
0.601 0.858 0.477 O
0.267 0.011 0.493 O
0.789 0.095 0.344 O
0.207 0.345 0.550 O
0.919 0.831 0.471 O
0.020 0.302 0.540 O
0.083 0.578 0.448 O
0.603 0.807 0.835 O
0.385 0.055 0.610 O
0.513 0.362 0.808 O
0.495 0.723 0.932 O
0.130 0.361 0.808 O
0.672 0.592 0.662 O
0.833 0.014 0.697 O
0.116 0.026 0.729 O
0.818 0.324 0.771 O
0.070 0.651 0.723 O
```

Q: Look up the total energy of the tenth one.
A: -0.3932 Ry/atom

Q: Which value of total energy does entry 6 give?
A: -0.3453 Ry/atom

Q: The highest energy of formation belongs to which entry?
A: CsPa3